{
  "formula": "La2MgCo2Sb2Pb2O12",
  "functional": "PBE with a Hubbard U",
  "state": "optimized geometry",
  "de_polymorph_mev_per_atom": 40,
  "formation_enthalpy_0k_ev_per_atom": -2.14,
  "final_energy_ev_per_atom": -6.39,
  "lattice_angstrom": [[5.784, 0.000, 0.000], [-0.085, 6.495, 0.000], [-0.365, -1.256, 8.527]],
  "species": ["La", "La", "Mg", "Co", "Co", "Sb", "Sb", "Pb", "Pb", "O", "O", "O", "O", "O", "O", "O", "O", "O", "O", "O", "O"],
  "frac_coords": [[0.000, 0.000, 0.000], [0.473, 0.649, 0.562], [0.512, 0.330, 0.206], [0.445, 0.919, 0.305], [0.969, 0.568, 0.758], [0.531, 0.149, 0.759], [0.977, 0.567, 0.295], [0.005, 0.167, 0.511], [0.453, 0.652, 0.966], [0.031, 0.666, 0.091], [0.165, 0.816, 0.401], [0.211, 0.795, 0.798], [0.262, 0.406, 0.348], [0.340, 0.389, 0.705], [0.396, 0.039, 0.115], [0.577, 0.029, 0.532], [0.640, 0.660, 0.284], [0.722, 0.780, 0.816], [0.847, 0.279, 0.203], [0.854, 0.273, 0.794], [0.870, 0.518, 0.518]]
}